# 1
Na4InGaSi2SO12: optimized geometry, GGA-PBE.

The calculation puts the magnetic moment at 0.01 Bohr magnetons per cell. Its calculated volume is 267.7 Å³/f.u. For the formation energy, the calculation gives -2.396 eV per atom. The value obtained for the energy is -6.07 eV per atom.

a b c (Å): 9.116 9.101 22.247
angles (deg): 89.87 90.00 119.50
Fractional coordinates of all 126 atoms:
1 Na 0.641 0.000 0.254
2 Na 0.363 0.373 0.244
3 Na 0.996 0.625 0.255
4 Na 0.625 0.632 0.740
5 Na 0.998 0.355 0.753
6 Na 0.380 0.011 0.753
7 Na 0.308 0.332 0.588
8 Na 0.037 0.713 0.577
9 Na 0.661 0.954 0.587
10 Na 0.289 0.967 0.076
11 Na 0.671 0.690 0.089
12 Na 0.047 0.341 0.088
13 Na 0.981 0.665 0.922
14 Na 0.699 0.044 0.908
15 Na 0.322 0.287 0.921
16 Na 0.958 0.300 0.410
17 Na 0.331 0.023 0.420
18 Na 0.709 0.673 0.421
19 Na 0.992 0.981 0.500
20 Na 0.022 0.010 0.000
21 Na 0.659 0.313 0.832
22 Na 0.682 0.339 0.334
23 Na 0.324 0.648 0.169
24 Na 0.352 0.675 0.666
25 In 0.011 0.018 0.847
26 In 0.998 0.002 0.154
27 In 0.666 0.334 0.985
28 In 0.317 0.655 0.018
29 In 0.345 0.684 0.516
30 In 0.332 0.667 0.814
31 Ga 0.963 0.979 0.349
32 Ga 0.000 0.000 0.648
33 Ga 0.636 0.314 0.682
34 Ga 0.687 0.369 0.187
35 Ga 0.666 0.335 0.483
36 Ga 0.330 0.668 0.318
37 Si 0.692 0.700 0.252
38 Si 0.000 0.299 0.252
39 Si 0.298 0.295 0.746
40 Si 0.708 0.007 0.745
41 Si 0.370 0.043 0.583
42 Si 0.672 0.621 0.584
43 Si 0.963 0.633 0.085
44 Si 0.376 0.333 0.087
45 Si 0.031 0.365 0.916
46 Si 0.333 0.965 0.916
47 Si 0.631 0.968 0.416
48 Si 0.035 0.669 0.415
49 S 0.298 0.999 0.252
50 S 0.995 0.704 0.747
51 S 0.955 0.331 0.583
52 S 0.666 0.039 0.085
53 S 0.632 0.669 0.916
54 S 0.332 0.370 0.416
55 O 0.214 0.027 0.305
56 O 0.824 0.782 0.308
57 O 0.970 0.170 0.309
58 O 0.236 0.184 0.808
59 O 0.968 0.776 0.804
60 O 0.811 0.036 0.808
61 O 0.802 0.970 0.688
62 O 0.170 0.200 0.689
63 O 0.020 0.814 0.694
64 O 0.765 0.815 0.191
65 O 0.048 0.231 0.191
66 O 0.198 0.969 0.196
67 O 0.878 0.359 0.637
68 O 0.491 0.119 0.642
69 O 0.649 0.506 0.644
70 O 0.877 0.508 0.143
71 O 0.643 0.122 0.139
72 O 0.496 0.352 0.145
73 O 0.445 0.295 0.024
74 O 0.855 0.557 0.024
75 O 0.690 0.134 0.029
76 O 0.459 0.164 0.523
77 O 0.705 0.537 0.523
78 O 0.853 0.308 0.528
79 O 0.556 0.695 0.971
80 O 0.151 0.438 0.975
81 O 0.310 0.857 0.978
82 O 0.570 0.849 0.476
83 O 0.300 0.443 0.471
84 O 0.147 0.706 0.477
85 O 0.127 0.631 0.358
86 O 0.503 0.876 0.358
87 O 0.359 0.481 0.363
88 O 0.113 0.480 0.856
89 O 0.373 0.886 0.856
90 O 0.531 0.645 0.862
91 O 0.023 0.846 0.407
92 O 0.824 0.995 0.410
93 O 0.185 0.199 0.409
94 O 0.002 0.171 0.916
95 O 0.153 0.966 0.913
96 O 0.803 0.818 0.911
97 O 0.971 0.175 0.586
98 O 0.180 0.028 0.589
99 O 0.840 0.814 0.589
100 O 0.977 0.820 0.090
101 O 0.820 0.021 0.088
102 O 0.184 0.170 0.090
103 O 0.699 0.185 0.739
104 O 0.492 0.324 0.743
105 O 0.848 0.533 0.742
106 O 0.674 0.509 0.248
107 O 0.821 0.307 0.246
108 O 0.469 0.149 0.247
109 O 0.647 0.514 0.919
110 O 0.845 0.355 0.919
111 O 0.497 0.156 0.918
112 O 0.644 0.157 0.423
113 O 0.490 0.359 0.420
114 O 0.845 0.498 0.421
115 O 0.374 0.514 0.085
116 O 0.154 0.655 0.086
117 O 0.515 0.867 0.082
118 O 0.343 0.850 0.582
119 O 0.494 0.631 0.581
120 O 0.129 0.481 0.578
121 O 0.314 0.844 0.257
122 O 0.504 0.682 0.261
123 O 0.167 0.490 0.260
124 O 0.310 0.483 0.749
125 O 0.153 0.691 0.750
126 O 0.518 0.838 0.747

***

# 2
Na6In4Ga4Si3S9O48: optimized geometry, GGA-PBE.

The calculation puts the magnetic moment at 0.00 Bohr magnetons per cell. Its calculated volume is 1019.0 Å³/f.u. For the formation energy, the calculation gives -2.135 eV per atom. The value obtained for the energy is -6.04 eV per atom.

a b c (Å): 17.604 8.807 22.755
angles (deg): 90.27 89.29 119.94
Fractional coordinates of all 222 atoms:
1 Na 0.005 0.643 0.254
2 Na 0.503 0.368 0.741
3 Na 0.162 0.307 0.911
4 Na 0.662 0.303 0.911
5 Na 0.163 0.025 0.418
6 Na 0.661 0.014 0.417
7 Na 0.995 0.987 0.497
8 Na 0.491 0.001 0.500
9 Na 0.993 0.999 0.994
10 Na 0.494 0.002 0.994
11 Na 0.333 0.333 0.828
12 Na 0.841 0.336 0.833
13 Na 0.342 0.348 0.337
14 Na 0.831 0.329 0.335
15 Na 0.175 0.682 0.173
16 Na 0.664 0.681 0.172
17 Na 0.168 0.651 0.670
18 Na 0.665 0.653 0.666
19 In 0.001 0.007 0.649
20 In 0.506 0.017 0.648
21 In 0.006 0.001 0.151
22 In 0.501 0.993 0.151
23 In 0.831 0.338 0.689
24 In 0.331 0.327 0.190
25 In 0.161 0.654 0.014
26 In 0.664 0.657 0.014
27 In 0.166 0.672 0.515
28 In 0.648 0.649 0.519
29 In 0.660 0.671 0.318
30 In 0.160 0.647 0.816
31 Ga 0.003 0.992 0.352
32 Ga 0.506 0.989 0.348
33 Ga 0.008 0.030 0.844
34 Ga 0.503 0.018 0.847
35 Ga 0.327 0.331 0.681
36 Ga 0.824 0.316 0.187
37 Ga 0.342 0.333 0.980
38 Ga 0.838 0.331 0.982
39 Ga 0.351 0.356 0.487
40 Ga 0.842 0.350 0.481
41 Ga 0.162 0.675 0.320
42 Ga 0.659 0.651 0.817
43 Si 0.149 0.996 0.254
44 Si 0.651 0.004 0.249
45 Si 0.155 0.298 0.747
46 Si 0.650 0.303 0.756
47 Si 0.473 0.327 0.589
48 Si 0.011 0.356 0.918
49 Si 0.515 0.363 0.915
50 Si 0.015 0.664 0.415
51 Si 0.510 0.667 0.416
52 S 0.349 0.709 0.253
53 S 0.852 0.704 0.249
54 S 0.000 0.293 0.251
55 S 0.501 0.288 0.252
56 S 0.001 0.716 0.752
57 S 0.502 0.718 0.754
58 S 0.351 0.996 0.753
59 S 0.849 0.989 0.754
60 S 0.977 0.332 0.582
61 S 0.189 0.046 0.580
62 S 0.694 0.049 0.579
63 S 0.330 0.621 0.583
64 S 0.835 0.631 0.581
65 S 0.477 0.622 0.082
66 S 0.973 0.615 0.086
67 S 0.333 0.037 0.081
68 S 0.833 0.043 0.084
69 S 0.190 0.335 0.080
70 S 0.693 0.336 0.081
71 S 0.321 0.670 0.918
72 S 0.818 0.671 0.916
73 S 0.167 0.967 0.918
74 S 0.666 0.960 0.916
75 S 0.318 0.964 0.414
76 S 0.820 0.967 0.418
77 S 0.164 0.372 0.414
78 S 0.668 0.368 0.416
79 O 0.100 0.025 0.311
80 O 0.607 0.032 0.309
81 O 0.406 0.803 0.303
82 O 0.909 0.790 0.301
83 O 0.489 0.175 0.302
84 O 0.983 0.176 0.302
85 O 0.114 0.187 0.810
86 O 0.607 0.186 0.815
87 O 0.489 0.805 0.806
88 O 0.989 0.806 0.804
89 O 0.406 0.017 0.805
90 O 0.906 0.011 0.804
91 O 0.386 0.959 0.699
92 O 0.882 0.953 0.698
93 O 0.091 0.215 0.692
94 O 0.587 0.224 0.699
95 O 0.005 0.800 0.695
96 O 0.512 0.813 0.698
97 O 0.380 0.808 0.197
98 O 0.886 0.811 0.195
99 O 0.012 0.220 0.195
100 O 0.506 0.211 0.194
101 O 0.087 0.941 0.195
102 O 0.594 0.967 0.190
103 O 0.426 0.349 0.649
104 O 0.937 0.351 0.637
105 O 0.238 0.133 0.633
106 O 0.742 0.133 0.633
107 O 0.316 0.515 0.637
108 O 0.824 0.532 0.636
109 O 0.437 0.524 0.137
110 O 0.931 0.514 0.140
111 O 0.321 0.114 0.136
112 O 0.824 0.128 0.138
113 O 0.239 0.350 0.134
114 O 0.745 0.351 0.134
115 O 0.235 0.320 0.026
116 O 0.736 0.318 0.026
117 O 0.425 0.532 0.030
118 O 0.922 0.528 0.032
119 O 0.343 0.145 0.028
120 O 0.843 0.147 0.030
121 O 0.231 0.146 0.524
122 O 0.738 0.158 0.525
123 O 0.335 0.534 0.528
124 O 0.846 0.543 0.528
125 O 0.419 0.305 0.529
126 O 0.925 0.317 0.530
127 O 0.286 0.712 0.972
128 O 0.786 0.715 0.972
129 O 0.078 0.426 0.974
130 O 0.581 0.433 0.972
131 O 0.156 0.867 0.973
132 O 0.655 0.864 0.972
133 O 0.286 0.857 0.468
134 O 0.782 0.853 0.470
135 O 0.152 0.447 0.469
136 O 0.659 0.450 0.470
137 O 0.083 0.724 0.470
138 O 0.581 0.731 0.470
139 O 0.057 0.628 0.356
140 O 0.547 0.615 0.358
141 O 0.257 0.872 0.364
142 O 0.765 0.892 0.365
143 O 0.180 0.489 0.362
144 O 0.688 0.480 0.364
145 O 0.051 0.486 0.862
146 O 0.560 0.491 0.858
147 O 0.187 0.891 0.867
148 O 0.683 0.877 0.865
149 O 0.263 0.634 0.867
150 O 0.757 0.637 0.867
151 O 0.005 0.841 0.409
152 O 0.504 0.846 0.408
153 O 0.407 0.998 0.402
154 O 0.910 0.999 0.408
155 O 0.082 0.198 0.408
156 O 0.586 0.195 0.410
157 O 0.004 0.164 0.907
158 O 0.503 0.165 0.908
159 O 0.086 0.979 0.912
160 O 0.585 0.972 0.911
161 O 0.410 0.816 0.909
162 O 0.907 0.814 0.905
163 O 0.482 0.151 0.586
164 O 0.982 0.167 0.583
165 O 0.099 0.020 0.582
166 O 0.604 0.024 0.581
167 O 0.412 0.791 0.587
168 O 0.917 0.806 0.584
169 O 0.482 0.796 0.083
170 O 0.979 0.790 0.086
171 O 0.414 0.022 0.084
172 O 0.914 0.027 0.087
173 O 0.101 0.176 0.082
174 O 0.604 0.180 0.083
175 O 0.351 0.164 0.749
176 O 0.847 0.156 0.749
177 O 0.251 0.307 0.740
178 O 0.746 0.319 0.752
179 O 0.426 0.537 0.751
180 O 0.925 0.533 0.752
181 O 0.347 0.538 0.249
182 O 0.854 0.536 0.242
183 O 0.425 0.317 0.251
184 O 0.924 0.326 0.245
185 O 0.244 0.172 0.251
186 O 0.747 0.189 0.244
187 O 0.321 0.501 0.927
188 O 0.817 0.500 0.924
189 O 0.420 0.349 0.923
190 O 0.915 0.339 0.928
191 O 0.242 0.152 0.925
192 O 0.742 0.144 0.922
193 O 0.317 0.132 0.420
194 O 0.822 0.139 0.426
195 O 0.238 0.339 0.418
196 O 0.742 0.330 0.423
197 O 0.412 0.496 0.425
198 O 0.919 0.488 0.424
199 O 0.183 0.497 0.079
200 O 0.688 0.499 0.080
201 O 0.062 0.636 0.082
202 O 0.566 0.645 0.078
203 O 0.254 0.860 0.076
204 O 0.753 0.867 0.080
205 O 0.184 0.871 0.580
206 O 0.692 0.880 0.576
207 O 0.252 0.645 0.579
208 O 0.758 0.653 0.575
209 O 0.066 0.487 0.579
210 O 0.571 0.505 0.588
211 O 0.158 0.819 0.260
212 O 0.668 0.839 0.252
213 O 0.259 0.678 0.262
214 O 0.762 0.666 0.258
215 O 0.081 0.467 0.257
216 O 0.584 0.458 0.254
217 O 0.170 0.496 0.752
218 O 0.658 0.498 0.759
219 O 0.083 0.711 0.755
220 O 0.584 0.706 0.758
221 O 0.261 0.850 0.761
222 O 0.760 0.841 0.764

***

# 3
InGaS3O12: optimized geometry, GGA-PBE.

The calculation puts the magnetic moment at 0.00 Bohr magnetons per cell. Its calculated volume is 245.7 Å³/f.u. For the formation energy, the calculation gives -1.914 eV per atom. The value obtained for the energy is -5.99 eV per atom.

a b c (Å): 8.669 8.669 22.653
angles (deg): 90.00 90.00 120.00
Fractional coordinates of all 102 atoms:
1 In 0.000 0.000 0.850
2 In 0.667 0.333 0.983
3 In 0.333 0.667 0.023
4 In 0.333 0.667 0.520
5 In 0.333 0.667 0.313
6 In 0.333 0.667 0.810
7 Ga 0.000 0.000 0.351
8 Ga 0.000 0.000 0.646
9 Ga 0.000 0.000 0.149
10 Ga 0.667 0.333 0.685
11 Ga 0.667 0.333 0.187
12 Ga 0.667 0.333 0.482
13 S 0.290 0.008 0.248
14 S 0.718 0.710 0.248
15 S 0.992 0.282 0.248
16 S 0.296 0.288 0.745
17 S 0.992 0.704 0.745
18 S 0.712 0.008 0.745
19 S 0.949 0.326 0.585
20 S 0.377 0.051 0.585
21 S 0.674 0.623 0.585
22 S 0.955 0.630 0.088
23 S 0.675 0.045 0.088
24 S 0.370 0.325 0.088
25 S 0.627 0.667 0.917
26 S 0.039 0.373 0.917
27 S 0.333 0.961 0.917
28 S 0.637 0.970 0.417
29 S 0.333 0.363 0.417
30 S 0.030 0.667 0.417
31 O 0.210 0.038 0.303
32 O 0.828 0.790 0.303
33 O 0.962 0.172 0.303
34 O 0.227 0.183 0.800
35 O 0.957 0.773 0.800
36 O 0.817 0.043 0.800
37 O 0.799 0.975 0.694
38 O 0.176 0.201 0.694
39 O 0.025 0.824 0.694
40 O 0.799 0.824 0.196
41 O 0.026 0.201 0.196
42 O 0.176 0.974 0.196
43 O 0.868 0.359 0.637
44 O 0.491 0.132 0.637
45 O 0.641 0.509 0.637
46 O 0.868 0.510 0.139
47 O 0.642 0.132 0.139
48 O 0.490 0.358 0.139
49 O 0.440 0.290 0.033
50 O 0.850 0.560 0.033
51 O 0.710 0.150 0.033
52 O 0.456 0.161 0.531
53 O 0.705 0.544 0.531
54 O 0.839 0.295 0.531
55 O 0.549 0.697 0.970
56 O 0.149 0.451 0.970
57 O 0.303 0.851 0.970
58 O 0.561 0.854 0.469
59 O 0.293 0.439 0.469
60 O 0.146 0.707 0.469
61 O 0.106 0.627 0.364
62 O 0.521 0.894 0.364
63 O 0.373 0.479 0.364
64 O 0.118 0.482 0.863
65 O 0.364 0.882 0.863
66 O 0.518 0.636 0.863
67 O 0.013 0.826 0.406
68 O 0.814 0.987 0.406
69 O 0.174 0.186 0.406
70 O 0.023 0.196 0.911
71 O 0.173 0.977 0.911
72 O 0.804 0.827 0.911
73 O 0.966 0.165 0.593
74 O 0.199 0.034 0.593
75 O 0.835 0.801 0.593
76 O 0.973 0.807 0.096
77 O 0.834 0.027 0.096
78 O 0.193 0.166 0.096
79 O 0.693 0.167 0.737
80 O 0.474 0.307 0.737
81 O 0.833 0.526 0.737
82 O 0.701 0.533 0.240
83 O 0.832 0.299 0.240
84 O 0.467 0.168 0.240
85 O 0.643 0.506 0.923
86 O 0.863 0.357 0.923
87 O 0.494 0.137 0.923
88 O 0.654 0.147 0.427
89 O 0.493 0.346 0.427
90 O 0.853 0.507 0.427
91 O 0.355 0.486 0.082
92 O 0.131 0.645 0.082
93 O 0.514 0.869 0.082
94 O 0.359 0.874 0.578
95 O 0.514 0.641 0.578
96 O 0.126 0.486 0.578
97 O 0.307 0.848 0.255
98 O 0.540 0.693 0.255
99 O 0.152 0.460 0.255
100 O 0.312 0.465 0.751
101 O 0.153 0.688 0.751
102 O 0.535 0.847 0.751